Density functional theory data (PBE) for a geometry-optimized MgCu2TeO12 structure.

Lattice parameters (Å, degrees): 5.2885 5.2885 8.5871 90.00 90.00 120.00
Closest atoms and distances in Å follow each position.
Sites, in units of the cell vectors:
Mg  0.0000  0.0000  0.5000  6 O 2.30
Cu  0.6667  0.3333  0.0000  6 O 2.08
Cu  0.3333  0.6667  0.0000  6 O 2.08
Te  0.0000  0.0000  0.0000  6 O 1.97
O  0.5756  0.5756  0.5588  1 O 1.29
O  0.4244  0.4244  0.4412  1 O 1.29
O  0.0000  0.4244  0.5588  1 O 1.29
O  0.0000  0.5756  0.4412  1 O 1.29
O  0.4244  0.0000  0.5588  1 O 1.29
O  0.5756  0.0000  0.4412  1 O 1.29
O  0.6824  0.6824  0.8808  1 Te 1.97, 2 Cu 2.08
O  0.3176  0.3176  0.1192  1 Te 1.97, 2 Cu 2.08
O  0.0000  0.3176  0.8808  1 Te 1.97, 2 Cu 2.08
O  0.0000  0.6824  0.1192  1 Te 1.97, 2 Cu 2.08
O  0.3176  0.0000  0.8808  1 Te 1.97, 2 Cu 2.08
O  0.6824  0.0000  0.1192  1 Te 1.97, 2 Cu 2.08

Summary:
Crystal system   trigonal
Calculated total energy   -0.182 Ha/atom
Spin magnetization   0.50 μB/atom

Density functional theory data (PBE) for a geometry-optimized MgCu2Te2O8 structure.

Lattice parameters (Å, degrees): 6.2266 6.4802 6.7490 49.98 62.49 61.30
Closest atoms and distances in Å follow each position.
Sites, in units of the cell vectors:
Mg  0.0000  0.0000  0.5000  6 O 2.20-2.25
Cu  0.5000  0.0000  0.5000  4 O 2.04
Cu  0.5000  0.5000  0.0000  4 O 2.14
Te  0.0000  0.5000  0.5000  6 O 2.00-2.06
Te  0.5000  0.5000  0.5000  6 O 2.00-2.06
O  0.2131  0.2973  0.3124  1 Te 2.00, 2 Cu 2.04-2.14, 1 Mg 2.20
O  0.2523  0.2657  0.7300  2 Te 2.02-2.03
O  0.2198  0.7692  0.2920  2 Te 2.06, 1 Mg 2.24
O  0.6772  0.2976  0.3124  1 Te 2.00, 2 Cu 2.04-2.14, 1 Mg 2.20
O  0.3228  0.7024  0.6876  1 Te 2.00, 2 Cu 2.04-2.14, 1 Mg 2.20
O  0.7477  0.7343  0.2700  2 Te 2.02-2.03
O  0.7802  0.2308  0.7080  2 Te 2.06, 1 Mg 2.25
O  0.7869  0.7027  0.6876  1 Te 2.00, 2 Cu 2.04-2.14, 1 Mg 2.20

Summary:
Energy above the most stable polymorph in this dataset   108 meV per atom
Crystal system   triclinic
Spin magnetization   0.00 μB/atom

Density functional theory data (PBE) for a geometry-optimized MgCu2Te2O8 structure.

Lattice parameters (Å, degrees): 6.2737 6.5423 6.6716 49.53 64.63 60.59
Closest atoms and distances in Å follow each position.
Sites, in units of the cell vectors:
Mg  0.0000  0.0000  0.5000  4 O 2.12-2.16
Cu  0.5000  0.0000  0.5000  4 O 1.97-2.01
Cu  0.5000  0.5000  0.0000  4 O 2.01-2.09
Te  0.0000  0.5000  0.5000  6 O 1.94-2.01
Te  0.5000  0.5000  0.5000  6 O 2.15-2.19
O  0.2210  0.3199  0.2950  1 Te 2.01, 2 Cu 2.01-2.09
O  0.2437  0.2563  0.7360  2 Te 1.94-2.17
O  0.1710  0.7849  0.3053  2 Te 1.98-2.19, 1 Mg 2.12
O  0.6756  0.2769  0.3088  2 Cu 1.97-2.01, 1 Te 2.15, 1 Mg 2.16
O  0.3244  0.7231  0.6912  2 Cu 1.97-2.01, 1 Te 2.15, 1 Mg 2.16
O  0.7563  0.7437  0.2640  2 Te 1.94-2.17
O  0.8290  0.2151  0.6947  2 Te 1.98-2.19, 1 Mg 2.12
O  0.7790  0.6801  0.7050  1 Te 2.01, 2 Cu 2.01-2.09

Summary:
Energy above the most stable polymorph in this dataset   93 meV per atom
Crystal system   triclinic
Spin magnetization   0.00 μB/atom